This record from the Materials Project database describes an optimized crystal structure of Dy3Cu3Sb4. The functional is r²SCAN.

Output
- calculated total energy (eV/atom) = -23.9577
- ΔE_f (eV per atom) = -0.83

a b c (Å): 9.538 9.538 9.538
angles (deg): 90.00 90.00 90.00
Space group I-43d (No. 220)
Inequivalent atoms, fractional coordinates:
Dy: 0.000 0.250 0.875
Cu: 0.000 0.250 0.375
Sb: 0.079 0.421 0.579